VASP calculation (PBE with a Hubbard U) on Li9Mn2Co5O16 after structural relaxation.

Computed properties:
The MP2020-corrected energy is -6.36 eV per atom. The calculation puts the mass density at 4.11 g/cm3. The energy above the most stable polymorph in this dataset comes out at 198 meV per atom. The calculation puts the calculated formation energy at -1666 meV/atom.

Cell: 9.835 2.889 20.770 Å, 90.00 98.40 90.00°
Space group Cm (No. 8)
Asymmetric unit:
Li  0.000  0.000  0.000 (multiplicity 2)
Li  0.001  0.000  0.508 (multiplicity 2)
Li  0.002  0.500  0.375 (multiplicity 2)
Li  0.014  0.500  0.635 (multiplicity 2)
Li  0.250  0.000  0.689 (multiplicity 2)
Li  0.490  0.500  0.746 (multiplicity 2)
Li  0.492  0.000  0.876 (multiplicity 2)
Li  0.497  0.000  0.122 (multiplicity 2)
Li  0.499  0.500  0.252 (multiplicity 2)
Mn  0.246  0.000  0.441 (multiplicity 2)
Mn  0.251  0.000  0.189 (multiplicity 2)
Co  0.237  0.500  0.805 (multiplicity 2)
Co  0.244  0.500  0.060 (multiplicity 2)
Co  0.256  0.000  0.938 (multiplicity 2)
Co  0.256  0.500  0.315 (multiplicity 2)
Co  0.262  0.500  0.577 (multiplicity 2)
O  0.126  0.500  0.727 (multiplicity 2)
O  0.130  0.000  0.091 (multiplicity 2)
O  0.134  0.500  0.465 (multiplicity 2)
O  0.136  0.000  0.592 (multiplicity 2)
O  0.137  0.500  0.968 (multiplicity 2)
O  0.140  0.500  0.222 (multiplicity 2)
O  0.141  0.000  0.351 (multiplicity 2)
O  0.143  0.000  0.845 (multiplicity 2)
O  0.353  0.000  0.526 (multiplicity 2)
O  0.357  0.000  0.788 (multiplicity 2)
O  0.359  0.500  0.412 (multiplicity 2)
O  0.362  0.000  0.033 (multiplicity 2)
O  0.362  0.500  0.158 (multiplicity 2)
O  0.369  0.500  0.911 (multiplicity 2)
O  0.374  0.500  0.653 (multiplicity 2)
O  0.376  0.000  0.287 (multiplicity 2)